The following is a DFT calculation (GGA-PBE) of a relaxed structure of S.

Geometry as extended XYZ:
```
32
Lattice="10.733 -5.035 0.000 10.733 5.035 0.000 -2.066 0.000 9.436" Properties=species:S:1:pos:R:3 pbc="T T T"
S 0.518 0.641 7.065
S 8.353 4.116 6.478
S 7.912 3.168 0.736
S 4.721 2.037 6.537
S 5.516 1.750 3.411
S 10.013 4.116 7.676
S 1.551 -0.641 2.347
S 4.749 0.651 4.996
S 9.509 1.905 0.401
S 12.520 3.168 3.982
S 5.782 -0.651 0.278
S 10.923 1.905 4.317
S 9.359 0.365 1.797
S 4.483 -1.750 8.129
S 5.754 -2.037 1.819
S 8.326 -0.365 6.516
S 11.073 0.365 2.921
S 13.645 2.037 7.617
S 14.916 1.750 1.307
S 10.040 -0.365 7.639
S 8.476 -1.905 5.119
S 13.616 0.651 9.158
S 6.879 -3.168 5.454
S 9.890 -1.905 9.035
S 14.650 -0.651 4.440
S 17.848 0.641 7.089
S 9.386 -4.116 1.760
S 13.883 -1.750 6.025
S 14.678 -2.037 2.899
S 11.487 -3.168 8.701
S 11.046 -4.116 2.958
S 18.881 -0.641 2.371
```

Output
- Calculated formation energy: 0.04 eV/atom
- Relative energy among the computed polymorphs: 44 meV per atom